A relaxed Al13Co4 crystal, computed with PBE.

abc: 8.179 12.372 14.306
angles: 90.00 90.00 90.00
Fractional coordinates of all 102 atoms:
Al (0.500, 0.994, 0.317)
Al (0.000, 0.006, 0.817)
Al (0.500, 0.899, 0.478)
Al (0.000, 0.101, 0.978)
Al (0.500, 0.094, 0.125)
Al (0.000, 0.906, 0.625)
Al (0.500, 0.090, 0.940)
Al (0.000, 0.910, 0.440)
Al (0.500, 0.861, 0.170)
Al (0.000, 0.139, 0.670)
Al (0.500, 0.180, 0.653)
Al (0.000, 0.820, 0.153)
Al (0.500, 0.195, 0.332)
Al (0.000, 0.805, 0.832)
Al (0.500, 0.751, 0.913)
Al (0.000, 0.249, 0.413)
Al (0.500, 0.601, 0.350)
Al (0.000, 0.399, 0.850)
Al (0.500, 0.631, 0.658)
Al (0.000, 0.369, 0.158)
Al (0.500, 0.328, 0.174)
Al (0.000, 0.672, 0.674)
Al (0.500, 0.410, 0.892)
Al (0.000, 0.590, 0.392)
Al (0.500, 0.503, 0.508)
Al (0.000, 0.497, 0.008)
Al (0.500, 0.406, 0.708)
Al (0.000, 0.594, 0.208)
Al (0.500, 0.302, 0.488)
Al (0.000, 0.698, 0.988)
Al (0.500, 0.903, 0.742)
Al (0.000, 0.097, 0.242)
Al (0.500, 0.594, 0.090)
Al (0.000, 0.406, 0.590)
Al (0.721, 0.795, 0.598)
Al (0.279, 0.795, 0.598)
Al (0.779, 0.205, 0.098)
Al (0.221, 0.205, 0.098)
Al (0.709, 0.092, 0.783)
Al (0.291, 0.092, 0.783)
Al (0.791, 0.908, 0.283)
Al (0.209, 0.908, 0.283)
Al (0.733, 0.921, 0.906)
Al (0.267, 0.921, 0.906)
Al (0.767, 0.079, 0.406)
Al (0.233, 0.079, 0.406)
Al (0.751, 0.752, 0.415)
Al (0.249, 0.752, 0.415)
Al (0.749, 0.248, 0.915)
Al (0.251, 0.248, 0.915)
Al (0.721, 0.016, 0.593)
Al (0.279, 0.016, 0.593)
Al (0.779, 0.984, 0.093)
Al (0.221, 0.984, 0.093)
Al (0.721, 0.778, 0.048)
Al (0.279, 0.778, 0.048)
Al (0.779, 0.222, 0.548)
Al (0.221, 0.222, 0.548)
Al (0.715, 0.408, 0.045)
Al (0.285, 0.408, 0.045)
Al (0.785, 0.592, 0.545)
Al (0.215, 0.592, 0.545)
Al (0.722, 0.705, 0.231)
Al (0.278, 0.705, 0.231)
Al (0.778, 0.295, 0.731)
Al (0.222, 0.295, 0.731)
Al (0.730, 0.581, 0.924)
Al (0.270, 0.581, 0.924)
Al (0.770, 0.419, 0.424)
Al (0.230, 0.419, 0.424)
Al (0.721, 0.485, 0.237)
Al (0.279, 0.485, 0.237)
Al (0.779, 0.515, 0.737)
Al (0.221, 0.515, 0.737)
Al (0.721, 0.721, 0.780)
Al (0.279, 0.721, 0.780)
Al (0.779, 0.279, 0.280)
Al (0.221, 0.279, 0.280)
Co (0.500, 0.103, 0.497)
Co (0.000, 0.897, 0.997)
Co (0.500, 0.911, 0.015)
Co (0.000, 0.089, 0.515)
Co (0.500, 0.798, 0.323)
Co (0.000, 0.202, 0.823)
Co (0.500, 0.232, 0.812)
Co (0.000, 0.768, 0.312)
Co (0.500, 0.396, 0.331)
Co (0.000, 0.604, 0.831)
Co (0.500, 0.587, 0.815)
Co (0.000, 0.413, 0.315)
Co (0.500, 0.269, 0.017)
Co (0.000, 0.731, 0.517)
Co (0.500, 0.700, 0.506)
Co (0.000, 0.300, 0.006)
Co (0.725, 0.093, 0.237)
Co (0.275, 0.093, 0.237)
Co (0.775, 0.907, 0.737)
Co (0.225, 0.907, 0.737)
Co (0.722, 0.407, 0.592)
Co (0.278, 0.407, 0.592)
Co (0.778, 0.593, 0.092)
Co (0.222, 0.593, 0.092)

As for the space group: Pmn2_1.


A relaxed Al2CrFeCo4 crystal, computed with PBE.

abc: 6.973 6.973 6.973
angles: 33.60 33.60 33.60
Fractional coordinates of all 8 atoms:
Al (0.250, 0.250, 0.250)
Al (0.750, 0.750, 0.750)
Cr (0.000, 0.000, 0.000)
Fe (0.500, 0.500, 0.500)
Co (0.625, 0.625, 0.625)
Co (0.125, 0.125, 0.125)
Co (0.875, 0.875, 0.875)
Co (0.375, 0.375, 0.375)

As for the space group: R-3m.


A relaxed Al6CoCu3 crystal, computed with PBE.

abc: 4.105 4.105 9.944
angles: 90.00 90.00 120.00
Fractional coordinates of all 10 atoms:
Al (0.667, 0.333, 0.188)
Al (0.667, 0.333, 0.673)
Al (0.000, 0.000, 0.329)
Al (0.000, 0.000, 0.823)
Al (0.333, 0.667, 0.005)
Al (0.333, 0.667, 0.473)
Co (0.667, 0.333, 0.430)
Cu (0.667, 0.333, 0.926)
Cu (0.000, 0.000, 0.077)
Cu (0.000, 0.000, 0.576)

As for the space group: P3m1.


A relaxed Al12Co4Cu crystal, computed with PBE.

abc: 8.613 8.613 12.377
angles: 73.96 73.96 55.59
Fractional coordinates of all 51 atoms:
Al (0.965, 0.393, 0.163)
Al (0.393, 0.965, 0.163)
Al (0.973, 0.398, 0.386)
Al (0.398, 0.973, 0.386)
Al (0.150, 0.592, 0.389)
Al (0.592, 0.150, 0.389)
Al (0.260, 0.722, 0.173)
Al (0.722, 0.260, 0.173)
Al (0.163, 0.576, 0.021)
Al (0.576, 0.163, 0.021)
Al (0.253, 0.747, 0.500)
Al (0.747, 0.253, 0.500)
Al (0.035, 0.607, 0.837)
Al (0.607, 0.035, 0.837)
Al (0.027, 0.602, 0.614)
Al (0.520, 0.520, 0.332)
Al (0.239, 0.239, 0.538)
Al (0.057, 0.057, 0.325)
Al (0.236, 0.236, 0.967)
Al (0.480, 0.480, 0.668)
Al (0.761, 0.761, 0.462)
Al (0.943, 0.943, 0.675)
Al (0.764, 0.764, 0.033)
Al (0.075, 0.075, 0.912)
Al (0.300, 0.300, 0.731)
Al (0.925, 0.925, 0.088)
Al (0.700, 0.700, 0.269)
Al (0.668, 0.668, 0.781)
Al (0.332, 0.332, 0.219)
Al (0.424, 0.837, 0.979)
Al (0.837, 0.424, 0.979)
Al (0.278, 0.740, 0.827)
Al (0.740, 0.278, 0.827)
Al (0.408, 0.850, 0.611)
Al (0.850, 0.408, 0.611)
Al (0.602, 0.027, 0.614)
Co (0.039, 0.597, 0.219)
Co (0.597, 0.039, 0.219)
Co (0.961, 0.403, 0.781)
Co (0.403, 0.961, 0.781)
Co (0.913, 0.913, 0.890)
Co (0.908, 0.908, 0.496)
Co (0.601, 0.601, 0.483)
Co (0.397, 0.397, 0.869)
Co (0.087, 0.087, 0.110)
Co (0.092, 0.092, 0.504)
Co (0.399, 0.399, 0.517)
Co (0.603, 0.603, 0.131)
Cu (0.910, 0.910, 0.287)
Cu (0.090, 0.090, 0.713)
Cu (0.500, 0.500, 0.000)

As for the space group: C2/m.


A relaxed Dy2AlCo3 crystal, computed with PBE.

abc: 4.946 4.946 4.946
angles: 65.45 65.45 65.45
Fractional coordinates of all 6 atoms:
Dy (0.630, 0.630, 0.630)
Dy (0.370, 0.370, 0.370)
Al (0.000, 0.000, 0.000)
Co (0.000, 0.500, 0.000)
Co (0.500, 0.000, 0.000)
Co (0.000, 0.000, 0.500)

As for the space group: R-3m.


A relaxed Dy2Al3Co crystal, computed with PBE.

abc: 5.378 5.378 5.378
angles: 61.22 61.22 61.22
Fractional coordinates of all 6 atoms:
Dy (0.627, 0.627, 0.627)
Dy (0.373, 0.373, 0.373)
Al (0.000, 0.500, 0.000)
Al (0.500, 0.000, 0.000)
Al (0.000, 0.000, 0.500)
Co (0.000, 0.000, 0.000)

As for the space group: R-3m.


A relaxed DyAlCo4 crystal, computed with PBE.

abc: 3.874 5.028 5.027
angles: 60.00 90.00 90.00
Fractional coordinates of all 6 atoms:
Dy (0.000, 0.000, 0.000)
Al (0.000, 0.333, 0.333)
Co (0.000, 0.667, 0.667)
Co (0.500, 0.503, 0.503)
Co (0.500, 0.502, 0.995)
Co (0.500, 0.995, 0.503)

As for the space group: P-6m2.


A relaxed DyAlCo crystal, computed with PBE.

abc: 5.311 5.385 8.353
angles: 90.00 90.00 120.47
Fractional coordinates of all 12 atoms:
Dy (0.667, 0.334, 0.548)
Dy (0.341, 0.670, 0.425)
Dy (0.341, 0.670, 0.075)
Dy (0.667, 0.334, 0.952)
Al (0.992, 0.996, 0.481)
Al (0.992, 0.996, 0.019)
Al (0.173, 0.339, 0.750)
Al (0.173, 0.834, 0.750)
Co (0.665, 0.832, 0.750)
Co (0.822, 0.651, 0.250)
Co (0.822, 0.171, 0.250)
Co (0.345, 0.172, 0.250)

As for the space group: Amm2.


| no. | formation energy (eV/atom) |
| --- | --- |
| 1 | -0.3860 |
| 2 | -0.3046 |
| 3 | -0.3017 |
| 4 | -0.4147 |
| 5 | -0.3089 |
| 6 | -0.4503 |
| 7 | -0.2534 |
| 8 | -0.3707 |